1.
{
  "formula": "MgMn2Fe4O8",
  "functional": "GGA+U",
  "state": "optimized geometry",
  "formation_energy_mev_per_atom": -1756.8,
  "energy_mp2020_ev_per_atom": -7.983,
  "volume_a3_per_cell": 171.9,
  "e_above_lowest_polymorph_mev_per_atom": 0,
  "lattice": [[6.035, 0.000, 0.000], [3.007, 5.303, 0.000], [2.947, 1.707, 5.370]],
  "species": ["Mg", "Mn", "Mn", "Fe", "Fe", "Fe", "Fe", "O", "O", "O", "O", "O", "O", "O", "O"],
  "fractional_positions": [[0.000, 0.000, 0.000], [0.018, 0.495, 0.987], [0.535, 0.487, 0.483], [0.184, 0.129, 0.539], [0.515, 0.493, 0.990], [0.516, 0.984, 0.000], [0.886, 0.853, 0.460], [0.259, 0.759, 0.730], [0.264, 0.775, 0.216], [0.267, 0.226, 0.745], [0.296, 0.252, 0.188], [0.724, 0.735, 0.805], [0.764, 0.771, 0.216], [0.776, 0.244, 0.227], [0.786, 0.221, 0.739]]
}


2.
{
  "formula": "LiCr2P3O12",
  "functional": "GGA+U",
  "state": "optimized geometry",
  "formation_energy_mev_per_atom": -2419.5,
  "energy_mp2020_ev_per_atom": -7.799,
  "volume_a3_per_cell": 924.3,
  "e_above_lowest_polymorph_mev_per_atom": 48,
  "lattice": [[8.696, 0.000, 0.000], [0.000, 8.884, 0.000], [0.000, 0.000, 11.963]],
  "species": ["Li", "Li", "Li", "Li", "Cr", "Cr", "Cr", "Cr", "Cr", "Cr", "Cr", "Cr", "P", "P", "P", "P", "P", "P", "P", "P", "P", "P", "P", "P", "O", "O", "O", "O", "O", "O", "O", "O", "O", "O", "O", "O", "O", "O", "O", "O", "O", "O", "O", "O", "O", "O", "O", "O", "O", "O", "O", "O", "O", "O", "O", "O", "O", "O", "O", "O", "O", "O", "O", "O", "O", "O", "O", "O", "O", "O", "O", "O"],
  "fractional_positions": [[0.161, 0.217, 0.250], [0.161, 0.283, 0.750], [0.839, 0.717, 0.250], [0.839, 0.783, 0.750], [0.246, 0.526, 0.101], [0.246, 0.526, 0.399], [0.246, 0.974, 0.601], [0.246, 0.974, 0.899], [0.754, 0.026, 0.101], [0.754, 0.026, 0.399], [0.754, 0.474, 0.601], [0.754, 0.474, 0.899], [0.033, 0.250, 0.000], [0.033, 0.250, 0.500], [0.400, 0.628, 0.628], [0.400, 0.628, 0.872], [0.400, 0.872, 0.128], [0.400, 0.872, 0.372], [0.600, 0.128, 0.628], [0.600, 0.128, 0.872], [0.600, 0.372, 0.128], [0.600, 0.372, 0.372], [0.967, 0.750, 0.000], [0.967, 0.750, 0.500], [0.059, 0.640, 0.073], [0.059, 0.640, 0.427], [0.059, 0.860, 0.573], [0.059, 0.860, 0.927], [0.134, 0.170, 0.590], [0.134, 0.170, 0.910], [0.134, 0.330, 0.090], [0.134, 0.330, 0.410], [0.212, 0.518, 0.250], [0.212, 0.982, 0.750], [0.291, 0.532, 0.556], [0.291, 0.532, 0.944], [0.291, 0.968, 0.056], [0.291, 0.968, 0.444], [0.342, 0.570, 0.750], [0.342, 0.930, 0.250], [0.374, 0.703, 0.121], [0.374, 0.703, 0.379], [0.374, 0.797, 0.621], [0.374, 0.797, 0.879], [0.430, 0.101, 0.618], [0.430, 0.101, 0.882], [0.430, 0.399, 0.118], [0.430, 0.399, 0.382], [0.570, 0.601, 0.618], [0.570, 0.601, 0.882], [0.570, 0.899, 0.118], [0.570, 0.899, 0.382], [0.626, 0.203, 0.121], [0.626, 0.203, 0.379], [0.626, 0.297, 0.621], [0.626, 0.297, 0.879], [0.658, 0.070, 0.750], [0.658, 0.430, 0.250], [0.709, 0.032, 0.556], [0.709, 0.032, 0.944], [0.709, 0.468, 0.056], [0.709, 0.468, 0.444], [0.788, 0.018, 0.250], [0.788, 0.482, 0.750], [0.866, 0.670, 0.590], [0.866, 0.670, 0.910], [0.866, 0.830, 0.090], [0.866, 0.830, 0.410], [0.941, 0.140, 0.073], [0.941, 0.140, 0.427], [0.941, 0.360, 0.573], [0.941, 0.360, 0.927]]
}


3.
{
  "formula": "Rb2NaCrF6",
  "functional": "GGA+U",
  "state": "optimized geometry",
  "formation_energy_mev_per_atom": -3117.9,
  "energy_mp2020_ev_per_atom": -5.560,
  "volume_a3_per_cell": 158.6,
  "lattice": [[0.000, 4.296, 4.296], [4.296, 0.000, 4.296], [4.296, 4.296, 0.000]],
  "species": ["Rb", "Rb", "Na", "Cr", "F", "F", "F", "F", "F", "F"],
  "fractional_positions": [[0.250, 0.250, 0.250], [0.750, 0.750, 0.750], [0.000, 0.000, 0.000], [0.500, 0.500, 0.500], [0.272, 0.272, 0.728], [0.272, 0.728, 0.272], [0.272, 0.728, 0.728], [0.728, 0.272, 0.272], [0.728, 0.272, 0.728], [0.728, 0.728, 0.272]]
}


4.
{
  "formula": "Ba8Re2W3O24",
  "functional": "GGA+U",
  "state": "optimized geometry",
  "formation_energy_mev_per_atom": -2716.6,
  "energy_mp2020_ev_per_atom": -8.064,
  "volume_a3_per_cell": 571.6,
  "lattice": [[2.914, 1.682, 19.435], [-2.914, 1.682, 19.435], [0.000, -3.364, 19.435]],
  "species": ["Ba", "Ba", "Ba", "Ba", "Ba", "Ba", "Ba", "Ba", "Re", "Re", "W", "W", "W", "O", "O", "O", "O", "O", "O", "O", "O", "O", "O", "O", "O", "O", "O", "O", "O", "O", "O", "O", "O", "O", "O", "O", "O"],
  "fractional_positions": [[0.115, 0.115, 0.115], [0.185, 0.185, 0.185], [0.271, 0.271, 0.271], [0.351, 0.351, 0.351], [0.649, 0.649, 0.649], [0.729, 0.729, 0.729], [0.815, 0.815, 0.815], [0.885, 0.885, 0.885], [0.039, 0.039, 0.039], [0.961, 0.961, 0.961], [0.417, 0.417, 0.417], [0.500, 0.500, 0.500], [0.583, 0.583, 0.583], [0.113, 0.590, 0.590], [0.132, 0.132, 0.669], [0.132, 0.669, 0.132], [0.199, 0.679, 0.679], [0.223, 0.223, 0.730], [0.223, 0.730, 0.223], [0.270, 0.777, 0.777], [0.321, 0.321, 0.801], [0.321, 0.801, 0.321], [0.331, 0.868, 0.868], [0.410, 0.410, 0.887], [0.410, 0.887, 0.410], [0.590, 0.113, 0.590], [0.590, 0.590, 0.113], [0.669, 0.132, 0.132], [0.679, 0.199, 0.679], [0.679, 0.679, 0.199], [0.730, 0.223, 0.223], [0.777, 0.270, 0.777], [0.777, 0.777, 0.270], [0.801, 0.321, 0.321], [0.868, 0.331, 0.868], [0.868, 0.868, 0.331], [0.887, 0.410, 0.410]]
}


5.
{
  "formula": "Li3V3P8O29",
  "functional": "GGA+U",
  "state": "optimized geometry",
  "formation_energy_mev_per_atom": -2515.0,
  "energy_mp2020_ev_per_atom": -7.626,
  "volume_a3_per_cell": 1162.9,
  "e_above_lowest_polymorph_mev_per_atom": 18,
  "lattice": [[8.480, -4.882, 0.000], [8.480, 4.882, 0.000], [-0.017, 0.000, 14.044]],
  "species": ["Li", "Li", "Li", "Li", "Li", "Li", "V", "V", "V", "V", "V", "V", "P", "P", "P", "P", "P", "P", "P", "P", "P", "P", "P", "P", "P", "P", "P", "P", "O", "O", "O", "O", "O", "O", "O", "O", "O", "O", "O", "O", "O", "O", "O", "O", "O", "O", "O", "O", "O", "O", "O", "O", "O", "O", "O", "O", "O", "O", "O", "O", "O", "O", "O", "O", "O", "O", "O", "O", "O", "O", "O", "O", "O", "O", "O", "O", "O", "O", "O", "O", "O", "O", "O", "O", "O", "O"],
  "fractional_positions": [[0.061, 0.529, 0.002], [0.066, 0.934, 0.500], [0.151, 0.615, 0.617], [0.529, 0.061, 0.502], [0.615, 0.151, 0.117], [0.934, 0.066, 0.000], [0.274, 0.404, 0.809], [0.277, 0.838, 0.301], [0.404, 0.274, 0.309], [0.410, 0.839, 0.812], [0.838, 0.277, 0.801], [0.839, 0.410, 0.312], [0.067, 0.523, 0.218], [0.073, 0.926, 0.717], [0.156, 0.753, 0.900], [0.158, 0.613, 0.399], [0.171, 0.174, 0.928], [0.174, 0.171, 0.428], [0.502, 0.511, 0.687], [0.511, 0.502, 0.187], [0.523, 0.067, 0.718], [0.528, 0.924, 0.213], [0.608, 0.756, 0.400], [0.613, 0.158, 0.899], [0.753, 0.156, 0.400], [0.756, 0.608, 0.900], [0.924, 0.528, 0.713], [0.926, 0.073, 0.217], [0.022, 0.172, 0.888], [0.026, 0.319, 0.384], [0.049, 0.633, 0.308], [0.053, 0.832, 0.804], [0.070, 0.847, 0.985], [0.082, 0.590, 0.127], [0.083, 0.841, 0.626], [0.091, 0.599, 0.490], [0.094, 0.928, 0.223], [0.096, 0.502, 0.721], [0.169, 0.327, 0.886], [0.171, 0.178, 0.034], [0.172, 0.022, 0.388], [0.178, 0.171, 0.534], [0.179, 0.584, 0.899], [0.179, 0.759, 0.395], [0.222, 0.361, 0.239], [0.225, 0.934, 0.736], [0.317, 0.745, 0.883], [0.319, 0.026, 0.884], [0.320, 0.459, 0.378], [0.327, 0.169, 0.386], [0.350, 0.510, 0.729], [0.361, 0.222, 0.739], [0.361, 0.653, 0.231], [0.363, 0.936, 0.234], [0.456, 0.747, 0.379], [0.459, 0.320, 0.878], [0.496, 0.511, 0.582], [0.498, 0.924, 0.726], [0.502, 0.096, 0.221], [0.503, 0.655, 0.734], [0.510, 0.350, 0.229], [0.511, 0.496, 0.082], [0.584, 0.179, 0.399], [0.586, 0.751, 0.894], [0.590, 0.082, 0.627], [0.597, 0.846, 0.487], [0.599, 0.091, 0.990], [0.601, 0.841, 0.124], [0.631, 0.841, 0.307], [0.633, 0.049, 0.808], [0.653, 0.361, 0.731], [0.655, 0.503, 0.234], [0.745, 0.317, 0.383], [0.747, 0.456, 0.879], [0.751, 0.586, 0.394], [0.759, 0.179, 0.895], [0.832, 0.053, 0.304], [0.841, 0.083, 0.126], [0.841, 0.601, 0.624], [0.841, 0.631, 0.807], [0.846, 0.597, 0.987], [0.847, 0.070, 0.485], [0.924, 0.498, 0.226], [0.928, 0.094, 0.723], [0.934, 0.225, 0.236], [0.936, 0.363, 0.734]]
}


6.
{
  "formula": "Li4Co5CuO12",
  "functional": "GGA+U",
  "state": "optimized geometry",
  "formation_energy_mev_per_atom": -1467.5,
  "energy_mp2020_ev_per_atom": -6.315,
  "volume_a3_per_cell": 208.4,
  "lattice": [[2.467, -4.258, 0.000], [2.467, 4.258, 0.000], [-0.161, 0.000, 9.922]],
  "species": ["Li", "Li", "Li", "Li", "Co", "Co", "Co", "Co", "Co", "Cu", "O", "O", "O", "O", "O", "O", "O", "O", "O", "O", "O", "O"],
  "fractional_positions": [[0.161, 0.669, 0.748], [0.331, 0.839, 0.252], [0.669, 0.161, 0.748], [0.839, 0.331, 0.252], [0.000, 0.000, 0.500], [0.164, 0.836, 0.000], [0.335, 0.665, 0.500], [0.665, 0.335, 0.500], [0.836, 0.164, 0.000], [0.500, 0.500, 0.000], [0.004, 0.668, 0.399], [0.161, 0.509, 0.105], [0.166, 0.166, 0.902], [0.320, 0.320, 0.402], [0.332, 0.996, 0.601], [0.491, 0.839, 0.895], [0.509, 0.161, 0.105], [0.668, 0.004, 0.399], [0.680, 0.680, 0.598], [0.834, 0.834, 0.098], [0.839, 0.491, 0.895], [0.996, 0.332, 0.601]]
}


7.
{
  "formula": "Sr2TaCrO6",
  "functional": "GGA+U",
  "state": "optimized geometry",
  "formation_energy_mev_per_atom": -3226.6,
  "energy_mp2020_ev_per_atom": -8.684,
  "volume_a3_per_cell": 126.7,
  "lattice": [[5.630, 0.000, 0.000], [-2.801, 4.891, 0.000], [-0.015, -3.253, 4.603]],
  "species": ["Sr", "Sr", "Ta", "Cr", "O", "O", "O", "O", "O", "O"],
  "fractional_positions": [[0.248, 0.498, 0.250], [0.752, 0.502, 0.750], [0.500, 0.000, 0.000], [0.000, 0.000, 0.500], [0.223, 0.994, 0.221], [0.233, 0.502, 0.727], [0.295, 0.040, 0.747], [0.705, 0.960, 0.253], [0.767, 0.498, 0.273], [0.777, 0.006, 0.779]]
}


8.
{
  "formula": "Pr2Mo3O12",
  "functional": "GGA+U",
  "state": "optimized geometry",
  "formation_energy_mev_per_atom": -2609.8,
  "energy_mp2020_ev_per_atom": -8.579,
  "volume_a3_per_cell": 520.1,
  "e_above_lowest_polymorph_mev_per_atom": 20,
  "lattice": [[3.814, -5.950, 0.000], [3.814, 5.950, 0.000], [-3.807, 0.000, 11.459]],
  "species": ["Pr", "Pr", "Pr", "Pr", "Mo", "Mo", "Mo", "Mo", "Mo", "Mo", "O", "O", "O", "O", "O", "O", "O", "O", "O", "O", "O", "O", "O", "O", "O", "O", "O", "O", "O", "O", "O", "O", "O", "O"],
  "fractional_positions": [[0.044, 0.292, 0.089], [0.292, 0.044, 0.589], [0.708, 0.956, 0.411], [0.956, 0.708, 0.911], [0.125, 0.875, 0.250], [0.211, 0.462, 0.423], [0.462, 0.211, 0.923], [0.538, 0.789, 0.077], [0.789, 0.538, 0.577], [0.875, 0.125, 0.750], [0.035, 0.430, 0.288], [0.081, 0.672, 0.118], [0.110, 0.195, 0.457], [0.127, 0.202, 0.716], [0.195, 0.110, 0.957], [0.202, 0.127, 0.216], [0.219, 0.665, 0.538], [0.328, 0.919, 0.382], [0.335, 0.781, 0.962], [0.429, 0.527, 0.102], [0.430, 0.035, 0.788], [0.473, 0.571, 0.398], [0.527, 0.429, 0.602], [0.570, 0.965, 0.212], [0.571, 0.473, 0.898], [0.665, 0.219, 0.038], [0.672, 0.081, 0.618], [0.781, 0.335, 0.462], [0.798, 0.873, 0.784], [0.805, 0.890, 0.043], [0.873, 0.798, 0.284], [0.890, 0.805, 0.543], [0.919, 0.328, 0.882], [0.965, 0.570, 0.712]]
}


9.
{
  "formula": "NaVPO5",
  "functional": "GGA+U",
  "state": "optimized geometry",
  "formation_energy_mev_per_atom": -2604.7,
  "energy_mp2020_ev_per_atom": -7.675,
  "volume_a3_per_cell": 378.7,
  "e_above_lowest_polymorph_mev_per_atom": 28,
  "lattice": [[7.449, 0.000, 0.000], [0.000, 6.488, 0.000], [0.000, 0.000, 7.835]],
  "species": ["Na", "Na", "Na", "Na", "V", "V", "V", "V", "P", "P", "P", "P", "O", "O", "O", "O", "O", "O", "O", "O", "O", "O", "O", "O", "O", "O", "O", "O", "O", "O", "O", "O"],
  "fractional_positions": [[0.000, 0.000, 0.000], [0.000, 0.500, 0.000], [0.500, 0.000, 0.500], [0.500, 0.500, 0.500], [0.169, 0.250, 0.287], [0.331, 0.750, 0.787], [0.669, 0.250, 0.213], [0.831, 0.750, 0.713], [0.124, 0.750, 0.394], [0.376, 0.250, 0.894], [0.624, 0.750, 0.106], [0.876, 0.250, 0.606], [0.056, 0.250, 0.508], [0.104, 0.750, 0.821], [0.136, 0.559, 0.275], [0.136, 0.941, 0.275], [0.216, 0.250, 0.023], [0.284, 0.750, 0.523], [0.364, 0.059, 0.775], [0.364, 0.441, 0.775], [0.396, 0.250, 0.321], [0.444, 0.750, 0.008], [0.556, 0.250, 0.992], [0.604, 0.750, 0.679], [0.636, 0.559, 0.225], [0.636, 0.941, 0.225], [0.716, 0.250, 0.477], [0.784, 0.750, 0.977], [0.864, 0.059, 0.725], [0.864, 0.441, 0.725], [0.896, 0.250, 0.179], [0.944, 0.750, 0.492]]
}


10.
{
  "formula": "Sm3MoO7",
  "functional": "GGA+U",
  "state": "optimized geometry",
  "formation_energy_mev_per_atom": -3339.9,
  "energy_mp2020_ev_per_atom": -8.761,
  "volume_a3_per_cell": 622.2,
  "lattice": [[7.594, 0.000, 0.000], [0.000, 7.639, 0.000], [0.000, 0.000, 10.726]],
  "species": ["Sm", "Sm", "Sm", "Sm", "Sm", "Sm", "Sm", "Sm", "Sm", "Sm", "Sm", "Sm", "Mo", "Mo", "Mo", "Mo", "O", "O", "O", "O", "O", "O", "O", "O", "O", "O", "O", "O", "O", "O", "O", "O", "O", "O", "O", "O", "O", "O", "O", "O", "O", "O", "O", "O"],
  "fractional_positions": [[0.004, 0.030, 0.284], [0.004, 0.550, 0.766], [0.238, 0.214, 0.008], [0.262, 0.786, 0.508], [0.496, 0.450, 0.266], [0.496, 0.970, 0.784], [0.504, 0.470, 0.716], [0.504, 0.950, 0.234], [0.738, 0.286, 0.992], [0.762, 0.714, 0.492], [0.996, 0.050, 0.734], [0.996, 0.530, 0.216], [0.250, 0.253, 0.499], [0.250, 0.747, 0.999], [0.750, 0.247, 0.501], [0.750, 0.753, 0.001], [0.003, 0.658, 0.992], [0.004, 0.289, 0.865], [0.018, 0.746, 0.368], [0.199, 0.369, 0.348], [0.212, 0.922, 0.131], [0.212, 0.968, 0.882], [0.218, 0.456, 0.616], [0.282, 0.544, 0.116], [0.288, 0.032, 0.382], [0.288, 0.078, 0.631], [0.301, 0.631, 0.848], [0.482, 0.254, 0.868], [0.496, 0.711, 0.365], [0.497, 0.342, 0.492], [0.503, 0.842, 0.008], [0.504, 0.211, 0.135], [0.518, 0.754, 0.632], [0.699, 0.131, 0.652], [0.712, 0.532, 0.118], [0.712, 0.578, 0.869], [0.718, 0.044, 0.384], [0.782, 0.956, 0.884], [0.788, 0.422, 0.369], [0.788, 0.468, 0.618], [0.801, 0.869, 0.152], [0.982, 0.246, 0.132], [0.996, 0.789, 0.635], [0.997, 0.158, 0.508]]
}